DFT (meta-GGA r2SCAN) results for a relaxed Mg5Hg3 crystal.

Lattice parameters (Å, degrees): 8.2267 8.2267 5.8693 90.00 90.00 120.00
Fractional coordinates of all 16 atoms:
Mg: 0.0000 0.2571 0.2500
Mg: 0.0000 0.7429 0.7500
Mg: 0.2571 0.0000 0.2500
Mg: 0.2571 0.2571 0.7500
Mg: 0.3333 0.6667 0.0000
Mg: 0.3333 0.6667 0.5000
Mg: 0.6667 0.3333 0.0000
Mg: 0.6667 0.3333 0.5000
Mg: 0.7429 0.0000 0.7500
Mg: 0.7429 0.7429 0.2500
Hg: 0.0000 0.3860 0.7500
Hg: 0.0000 0.6140 0.2500
Hg: 0.3860 0.0000 0.7500
Hg: 0.3860 0.3860 0.2500
Hg: 0.6140 0.0000 0.2500
Hg: 0.6140 0.6140 0.7500

For the formation energy, the calculation gives -0.220 eV per atom. The total magnetization comes out at 0.00 μB/f.u. The calculated total energy comes out at -0.78419 hartree per atom.

DFT (meta-GGA r2SCAN) results for a relaxed MgHg2 crystal.

Lattice parameters (Å, degrees): 3.4603 15.1630 5.0078 90.00 90.00 90.00
Fractional coordinates of all 12 atoms:
Mg: 0.0000 0.1074 0.2500
Mg: 0.0000 0.8926 0.7500
Mg: 0.5000 0.3926 0.7500
Mg: 0.5000 0.6074 0.2500
Hg: 0.0000 0.2287 0.7500
Hg: 0.0000 0.4434 0.2500
Hg: 0.0000 0.5566 0.7500
Hg: 0.0000 0.7713 0.2500
Hg: 0.5000 0.0566 0.7500
Hg: 0.5000 0.2713 0.2500
Hg: 0.5000 0.7287 0.7500
Hg: 0.5000 0.9434 0.2500

For the formation energy, the calculation gives -0.107 eV per atom. The total magnetization comes out at 0.00 μB/f.u. The calculated total energy comes out at -1.26449 hartree per atom.

DFT (meta-GGA r2SCAN) results for a relaxed Mg5Hg crystal.

Lattice parameters (Å, degrees): 9.3720 5.4220 5.9266 90.00 121.28 90.00
Fractional coordinates of all 12 atoms:
Mg: 0.0000 0.0000 0.0000
Mg: 0.1667 0.3392 0.4994
Mg: 0.1696 0.5098 0.9991
Mg: 0.3304 0.0098 0.0009
Mg: 0.3333 0.8392 0.5006
Mg: 0.5000 0.5000 0.0000
Mg: 0.6667 0.8392 0.4994
Mg: 0.6696 0.0098 0.9991
Mg: 0.8304 0.5098 0.0009
Mg: 0.8333 0.3392 0.5006
Hg: 0.0000 0.8397 0.5000
Hg: 0.5000 0.3397 0.5000

For the formation energy, the calculation gives -0.072 eV per atom. The energy above the most stable polymorph in this dataset is 0.002 eV per atom. The total magnetization comes out at 0.00 μB/f.u. The calculated total energy comes out at -0.43272 hartree per atom.